# 1
A geometry-optimized Na3MgAlSiS2O12 structure, computed with PBE.

Structure (extended XYZ):
```
120
Lattice="7.6569 -4.4174 0.0000 7.6569 4.4174 0.0000 -0.2159 0.0000 21.7299" Properties=species:S:1:pos:R:3 pbc="T T T"
Na 7.5490 3.2536 10.8649
Na 4.6549 1.6233 21.3558
Na 2.2330 0.0764 12.5569
Na 7.0681 2.7772 17.9412
Na 2.3409 -0.0764 1.6920
Na 7.8181 2.8546 3.2994
Na 5.0454 1.3034 14.6093
Na 7.4179 0.1532 16.1589
Na 5.1533 -1.3034 3.7444
Na 4.7628 -1.6233 10.4909
Na 7.5258 -0.1532 5.2940
Na 10.2116 1.2894 7.2185
Na 7.1760 -2.7772 7.0763
Na 10.1037 -1.2894 18.0835
Na 12.5992 0.0118 8.9259
Na 12.4913 -0.0118 19.7909
Na 7.7101 -2.8546 14.1643
Na 7.6569 -3.2536 0.0000
Mg 2.3975 0.0691 9.3563
Mg 2.2895 -0.0691 20.2212
Mg 7.6771 0.0083 2.1128
Mg 7.5691 -0.0083 12.9777
Mg 12.7247 0.0856 5.7321
Mg 12.6167 -0.0856 16.5970
Al 2.5074 0.1570 4.9673
Al 2.3995 -0.1570 15.8323
Al 7.2037 0.0910 19.4564
Al 7.3116 -0.0910 8.5914
Al 12.7995 0.0672 12.2420
Al 12.9074 -0.0672 1.3771
Si 7.2993 3.1068 14.4616
Si 4.5495 1.2114 18.0260
Si 7.3888 2.6108 21.6894
Si 4.6575 -1.2114 7.1611
Si 7.4968 -2.6108 10.8244
Si 7.4072 -3.1068 3.5967
S 4.9395 1.8757 3.5192
S 7.8502 3.0263 7.1607
S 5.2894 1.3394 10.8061
S 9.9852 1.8133 18.0144
S 5.1815 -1.3394 21.6710
S 9.7644 1.1927 10.7365
S 4.8315 -1.8757 14.3841
S 10.5241 1.2511 3.4994
S 9.6564 -1.1927 21.6014
S 10.4162 -1.2511 14.3643
S 7.7422 -3.0263 18.0256
S 10.0931 -1.8133 7.1494
O 14.2234 -0.5516 13.1477
O 6.1724 3.5411 0.0115
O 4.8088 2.6675 2.2483
O 5.0704 2.7470 4.6714
O 5.1583 2.8258 10.8944
O 1.2025 0.4905 3.7564
O 6.4769 3.5302 7.0064
O 6.3844 3.3344 15.7675
O 3.7266 0.9993 3.5852
O 1.0946 -0.4905 14.6213
O 8.4154 3.6770 8.3621
O 3.6598 0.9757 19.3415
O 8.6243 3.6542 21.5254
O 3.9763 0.7115 10.6240
O 3.7759 0.6169 16.6658
O 8.7060 3.2977 5.9643
O 6.2085 1.1079 9.6285
O 6.1330 0.9880 3.4650
O 7.1339 1.6067 20.3821
O 5.8842 0.7864 12.0266
O 7.7122 1.7754 1.3172
O 7.4007 1.5035 14.2551
O 3.8838 -0.6169 5.8009
O 9.7355 2.7005 16.8267
O 7.8376 1.5314 7.3226
O 3.8683 -0.7115 21.4889
O 6.0736 0.5329 18.1093
O 9.9854 2.6705 10.6651
O 3.6187 -0.9993 14.4501
O 3.7677 -0.9757 8.4766
O 10.4541 2.7552 3.4803
O 10.1192 2.5955 19.2323
O 6.1816 -0.5329 7.2444
O 8.8882 0.9853 11.8771
O 8.7667 0.9268 18.0713
O 5.9922 -0.7864 1.1617
O 6.0251 -0.9880 14.3300
O 9.1512 0.7361 3.4019
O 9.1215 0.6929 9.4703
O 6.1005 -1.1079 20.4934
O 4.7008 -2.6675 13.1133
O 11.1687 0.9602 17.8376
O 11.0712 0.7824 4.7788
O 4.9624 -2.7470 15.5363
O 12.5130 1.5642 7.0927
O 11.4167 0.8619 2.3607
O 7.2418 -1.6067 9.5172
O 7.5087 -1.5035 3.3902
O 5.2663 -2.8258 0.0295
O 11.0970 0.5329 10.8721
O 9.0136 -0.6929 20.3352
O 9.0433 -0.7361 14.2668
O 8.8746 -0.9268 7.2064
O 7.7297 -1.5314 18.1875
O 8.9961 -0.9853 1.0122
O 7.6042 -1.7754 12.1821
O 11.2049 -0.5329 0.0072
O 6.0644 -3.5411 10.8765
O 6.4924 -3.3344 4.9026
O 10.9633 -0.7824 15.6437
O 6.3689 -3.5302 17.8713
O 11.3087 -0.8619 13.2256
O 11.2767 -0.9602 6.9727
O 14.3314 0.5516 2.2828
O 8.5981 -3.2977 16.8292
O 9.8434 -2.7005 5.9618
O 9.8775 -2.6705 21.5300
O 10.2272 -2.5955 8.3674
O 8.3074 -3.6770 19.2271
O 8.7323 -3.6542 10.6605
O 10.3462 -2.7552 14.3452
O 12.4051 -1.5642 17.9576
```

Summary:
Space-group type = Cc (9)
Total magnetization = 0.000 μB/atom
Total energy after the MP2020 corrections = -6.606 eV/atom
Density = 2.74 g/cm³
ΔH_f (0 K) = -239.9 kJ per mole of atoms



# 2
A geometry-optimized Na10Mg4Al4Si3S9O48 structure, computed with PBE.

Structure (extended XYZ):
```
234
Lattice="8.7563 0.0000 0.0000 -0.0248 15.1392 0.0000 -0.0593 -0.7121 21.9100" Properties=species:S:1:pos:R:3 pbc="T T T"
Na 0.0000 0.0000 0.0000
Na -0.0456 4.5516 14.5641
Na 0.2133 -0.4104 14.2589
Na 1.1918 7.3047 19.9898
Na 1.3051 12.4428 12.6601
Na 1.3746 2.7953 5.3701
Na 1.4176 7.5034 8.9975
Na 1.4737 12.6514 1.7879
Na 1.6619 2.2990 16.3449
Na 2.7343 9.7967 10.5673
Na 2.7756 -0.0946 3.4140
Na 3.0833 5.1883 10.9597
Na 3.1073 10.4423 3.7650
Na 4.2469 7.8400 7.3665
Na 4.2750 13.0982 0.0863
Na 4.3220 12.1179 14.5708
Na 4.4041 7.6316 0.0050
Na 4.5325 12.4403 6.9677
Na 4.5555 1.8575 21.7311
Na 4.5780 7.1651 14.2693
Na 5.6892 4.8611 12.6883
Na 5.6895 -0.4764 19.9417
Na 5.8981 10.2452 5.3914
Na 5.9877 -0.0369 9.0355
Na 6.0433 5.1076 1.8581
Na 6.0430 9.8755 16.3533
Na 7.1952 7.4737 3.3724
Na 7.2008 2.1817 10.7215
Na 7.4737 12.7591 10.9656
Na 8.6363 5.5306 0.0920
Mg 1.3687 7.6708 1.3411
Mg 1.3545 12.2077 15.9318
Mg 1.4380 2.3629 8.5903
Mg 1.5267 12.6151 4.9855
Mg 1.5152 2.0190 19.5218
Mg 1.5457 7.3070 12.2698
Mg 5.7505 4.6490 15.9257
Mg 5.8306 0.0865 1.3676
Mg 5.8197 9.9482 8.5961
Mg 5.8773 9.5874 19.5131
Mg 5.9543 4.9759 4.9344
Mg 5.9514 -0.2762 12.2877
Al 1.4388 7.5142 5.7851
Al 1.4979 2.5905 2.1736
Al 1.4658 7.0932 16.7074
Al 1.4525 12.1345 20.3264
Al 1.5116 12.5869 9.3041
Al 1.6554 2.1820 13.0273
Al 5.8335 4.6990 20.2663
Al 5.8608 -0.4851 16.7035
Al 5.9027 -0.0539 5.7025
Al 5.9130 5.0136 9.3899
Al 5.9827 10.2316 2.0866
Al 5.9796 9.7790 13.0371
Si 0.2850 5.3382 3.5128
Si 0.2961 0.1059 10.8190
Si 2.6834 10.2899 7.1515
Si 2.7154 -0.2292 21.7848
Si 2.7401 4.9566 14.4195
Si 4.6326 12.8998 3.4829
Si 4.6348 7.6777 10.8302
Si 7.1025 7.3561 21.7456
Si 7.1134 12.5153 14.4318
S 0.0729 14.4028 18.1366
S 0.1360 4.5504 10.8204
S 0.1652 9.8474 3.5676
S 0.2650 9.9384 18.1283
S 2.7336 9.4457 14.5587
S 2.7835 4.1718 21.7639
S 2.8263 14.8245 7.1464
S 3.2558 9.6049 21.7559
S 3.3575 4.9443 7.2123
S 3.3744 -0.2332 14.5594
S 4.0332 7.6242 3.5505
S 4.0111 12.2500 18.1330
S 4.0527 2.3370 10.8058
S 4.4535 6.8541 18.1087
S 4.5155 12.1318 10.8605
S 4.5938 2.2432 3.5534
S 4.6574 2.3678 18.1488
S 7.0748 2.7218 7.1854
S 7.1213 1.8757 14.5625
S 7.2094 7.1388 7.1817
S 7.1754 11.7157 21.7566
S 7.6816 12.6600 7.1953
S 7.6773 2.0159 21.7643
S 7.7315 7.3340 14.5581
S 8.4182 0.1016 3.5595
S 8.3904 9.9052 10.8416
S 8.4125 4.6844 18.1216
O -0.0639 7.0858 21.8393
O -0.0347 12.4146 14.6177
O 0.3428 3.6896 12.0364
O 0.4055 8.9709 4.7503
O 0.3532 13.5511 19.3570
O 0.4363 6.2435 2.1675
O 0.4540 1.1703 9.6389
O 0.4477 5.9608 18.1021
O 0.4853 14.0335 3.6785
O 0.4925 8.7135 10.9762
O 0.4996 11.1314 10.8293
O 0.5501 1.3090 3.5519
O 0.5492 3.5155 18.2493
O 0.5592 10.7197 16.9408
O 0.5863 5.9339 11.0050
O 0.6293 11.2294 3.7302
O 0.6568 0.6193 18.2753
O 0.6441 13.7986 16.9345
O 0.8477 9.3246 2.3706
O 0.8566 4.0220 9.6518
O 0.8418 10.6149 19.3508
O 0.9177 0.7610 12.2465
O 0.9388 6.1429 4.8000
O 0.9158 8.5848 18.0409
O 0.9414 13.7294 10.6077
O 1.0355 3.8649 3.3343
O 1.9162 5.6693 15.6978
O 1.9551 3.4766 14.2502
O 2.0170 1.1157 1.2423
O 1.9647 13.4032 21.5854
O 2.0317 8.7533 7.0010
O 2.0705 11.0591 8.5074
O 2.0708 3.6895 20.5754
O 2.1749 8.9596 13.2919
O 2.3023 1.0239 7.3236
O 2.2795 10.8418 14.7263
O 2.3004 14.2797 5.8870
O 2.4211 6.2832 0.0665
O 2.3767 8.5462 15.6999
O 2.3688 10.8248 21.6427
O 2.4671 3.7754 7.3308
O 2.4693 0.9618 14.4880
O 2.5029 9.0918 0.0119
O 2.4942 11.2236 5.8558
O 2.4931 0.7961 20.5819
O 2.4947 13.6812 14.6712
O 2.5266 5.8786 13.1090
O 2.5529 6.2123 7.1899
O 2.5379 13.8950 8.2940
O 2.6251 3.9893 1.0257
O 2.9537 6.9212 18.0151
O 2.9879 12.7302 3.5818
O 2.9918 7.4926 10.9031
O 3.0234 12.1572 10.7371
O 3.0915 2.2218 3.4763
O 3.1470 7.8076 4.7429
O 3.1219 12.3383 19.3566
O 3.1785 2.5898 12.0126
O 3.1897 2.2318 18.2388
O 3.2093 12.1308 16.9100
O 3.2572 2.2415 9.5944
O 3.2677 7.5725 2.2906
O 4.0707 9.4667 20.5533
O 4.1565 10.5651 1.0728
O 4.1809 4.8430 6.0180
O 4.1867 -0.3684 13.3587
O 4.1942 -0.0626 15.7971
O 4.2330 5.0733 8.4584
O 4.2348 9.4789 14.5204
O 4.2902 4.1943 21.5588
O 4.3286 10.1241 7.2550
O 4.3310 -0.4540 21.8743
O 4.3406 14.8866 7.0924
O 4.3457 4.8421 14.6183
O 4.7406 5.9914 19.3318
O 4.7960 11.2549 12.0515
O 4.8449 13.8384 2.1889
O 4.8060 13.5298 18.0975
O 4.8566 8.5963 9.5286
O 4.8905 6.4260 3.6522
O 4.8980 1.1457 10.9792
O 4.9122 8.8475 3.5372
O 4.9338 1.3181 4.6829
O 4.9129 11.0893 18.2537
O 4.9520 3.5511 10.7542
O 4.9760 3.1732 16.9888
O 4.9970 8.2108 18.2423
O 5.0606 3.6055 3.7471
O 5.0225 13.4997 11.0223
O 5.0388 6.2346 16.9217
O 5.1643 1.7623 2.2740
O 5.1647 11.5970 9.6438
O 5.2092 3.0321 19.4082
O 5.2461 13.6109 4.8599
O 5.2510 8.3720 12.2253
O 5.3040 6.1402 10.6943
O 5.3228 11.3850 3.3182
O 5.3058 1.0146 18.0647
O 6.2874 13.2327 15.7073
O 6.3229 11.0399 14.2777
O 6.4097 8.7200 1.2181
O 6.3654 5.8229 21.6130
O 6.4325 1.3596 7.0476
O 6.5123 3.3313 8.4619
O 6.4741 11.2119 20.5792
O 6.5712 6.5966 5.9705
O 6.5679 1.3947 13.2905
O 6.6602 3.2707 14.7281
O 6.6725 8.4984 7.3675
O 6.7116 8.2159 20.4809
O 6.7603 3.5465 6.0422
O 6.7697 13.8340 0.0429
O 6.7565 0.9753 15.7012
O 6.7767 11.4828 7.3006
O 6.7571 3.2046 21.6769
O 6.8077 13.9011 7.1326
O 6.8179 8.5175 14.4863
O 6.8959 1.5017 0.0060
O 6.9002 6.2583 8.3638
O 6.8808 6.1026 14.6678
O 6.9003 13.4438 13.1276
O 6.9718 11.5987 1.0546
O 7.3242 14.4981 18.0293
O 7.3966 4.5385 10.6113
O 7.4143 5.1685 3.6852
O 7.4183 -0.0978 10.9349
O 7.4272 9.8552 3.3962
O 7.5100 0.2508 4.7298
O 7.5122 10.0944 12.0502
O 7.5088 4.7606 19.3423
O 7.5574 9.7978 18.2467
O 7.5998 9.8272 9.6216
O 7.6084 4.5616 16.8999
O 7.6724 0.0253 2.2863
O 8.4666 1.8658 20.5475
O 8.5032 12.5539 6.0045
O 8.5047 12.7790 8.4457
O 8.5417 2.5868 7.2786
O 8.5951 2.9587 1.0553
O 8.5473 7.1946 13.3570
O 8.5535 7.5044 15.7933
O 8.6201 1.9085 14.5319
O 8.6892 7.1863 7.1008
O 8.6669 11.7803 21.5899
```

Summary:
Space-group type = P1 (1)
Total magnetization = 0.000 μB/atom
Total energy after the MP2020 corrections = -6.619 eV/atom
Density = 2.70 g/cm³
ΔH_f (0 K) = -235.8 kJ per mole of atoms